Material: GePt2
Method: DFT, PBE
State: relaxed

Lattice parameters (Å, degrees): 6.7858 6.7858 3.5750 90.00 90.00 120.00
With the nearest neighbours (Å) after each atom.
Sites, in units of the cell vectors:
Ge 0.0000 0.0000 0.0000  9 Pt 2.58-2.61
Ge 0.3333 0.6667 0.5000  3 Pt 2.46
Ge 0.6667 0.3333 0.5000  3 Pt 2.46
Pt 0.0000 0.2806 0.5000  4 Ge 2.46-2.61
Pt 0.0000 0.6192 0.0000  5 Ge 2.58-2.77
Pt 0.2806 0.0000 0.5000  4 Ge 2.46-2.61
Pt 0.3808 0.3808 0.0000  5 Ge 2.58-2.77
Pt 0.6192 0.0000 0.0000  5 Ge 2.58-2.77
Pt 0.7194 0.7194 0.5000  4 Ge 2.46-2.61

Summary:
symmetry: P-62m


Material: Ge3Pt2
Method: DFT, PBE
State: relaxed

Lattice parameters (Å, degrees): 16.6163 3.4514 6.3127 90.00 90.00 90.00
With the nearest neighbours (Å) after each atom.
Sites, in units of the cell vectors:
Ge 0.0711 0.2500 0.0585  5 Pt 2.53-2.66
Ge 0.1126 0.7500 0.5851  1 Ge 2.55, 4 Pt 2.56-2.66
Ge 0.2314 0.7500 0.8413  3 Pt 2.52, 1 Ge 2.55
Ge 0.2686 0.2500 0.3413  3 Pt 2.52, 1 Ge 2.55
Ge 0.3874 0.2500 0.0851  1 Ge 2.55, 4 Pt 2.56-2.66
Ge 0.4289 0.7500 0.5585  5 Pt 2.53-2.66
Ge 0.5711 0.2500 0.4415  5 Pt 2.53-2.66
Ge 0.6126 0.7500 0.9149  1 Ge 2.55, 4 Pt 2.56-2.66
Ge 0.7314 0.7500 0.6587  3 Pt 2.52, 1 Ge 2.55
Ge 0.7686 0.2500 0.1587  3 Pt 2.52, 1 Ge 2.55
Ge 0.8874 0.2500 0.4149  1 Ge 2.55, 4 Pt 2.56-2.66
Ge 0.9289 0.7500 0.9415  5 Pt 2.53-2.66
Pt 0.0068 0.2500 0.6957  6 Ge 2.53-2.66
Pt 0.1704 0.7500 0.2063  6 Ge 2.52-2.58
Pt 0.3296 0.2500 0.7063  6 Ge 2.52-2.58
Pt 0.4932 0.7500 0.1957  6 Ge 2.53-2.66
Pt 0.5068 0.2500 0.8043  6 Ge 2.53-2.66
Pt 0.6704 0.7500 0.2937  6 Ge 2.52-2.58
Pt 0.8296 0.2500 0.7937  6 Ge 2.52-2.58
Pt 0.9932 0.7500 0.3043  6 Ge 2.53-2.66

Summary:
symmetry: Pnma


Material: Ge2Pt
Method: DFT, PBE
State: relaxed

Lattice parameters (Å, degrees): 5.8427 6.2833 2.9834 90.00 90.00 90.00
With the nearest neighbours (Å) after each atom.
Sites, in units of the cell vectors:
Ge 0.1680 0.1275 0.0000  1 Ge 2.53, 3 Pt 2.54-2.57
Ge 0.3320 0.6275 0.5000  1 Ge 2.53, 3 Pt 2.54-2.57
Ge 0.6680 0.3725 0.5000  1 Ge 2.53, 3 Pt 2.54-2.57
Ge 0.8320 0.8725 0.0000  1 Ge 2.53, 3 Pt 2.54-2.57
Pt 0.0000 0.5000 0.0000  6 Ge 2.54-2.57
Pt 0.5000 0.0000 0.5000  6 Ge 2.54-2.57

Summary:
symmetry: Pnnm


Material: GePt
Method: DFT, PBE
State: relaxed

Lattice parameters (Å, degrees): 5.8720 3.7304 6.1854 90.00 90.00 90.00
With the nearest neighbours (Å) after each atom.
Sites, in units of the cell vectors:
Ge 0.1877 0.2500 0.0869  6 Pt 2.52-2.70
Ge 0.3123 0.7500 0.5869  6 Pt 2.52-2.70
Ge 0.6877 0.2500 0.4131  6 Pt 2.52-2.70
Ge 0.8123 0.7500 0.9131  6 Pt 2.52-2.70
Pt 0.9999 0.2500 0.6934  6 Ge 2.52-2.70
Pt 0.0001 0.7500 0.3066  6 Ge 2.52-2.70
Pt 0.4999 0.2500 0.8066  6 Ge 2.52-2.70
Pt 0.5001 0.7500 0.1934  6 Ge 2.52-2.70

Summary:
symmetry: Pnma


Material: RbGe4Pt4
Method: DFT, PBE
State: relaxed

Lattice parameters (Å, degrees): 6.7007 6.7007 6.7007 97.44 97.44 137.82
With the nearest neighbours (Å) after each atom.
Sites, in units of the cell vectors:
Rb 0.0000 0.0000 0.0000  8 Pt 3.42-3.56, 8 Ge 3.67-3.82
Ge 0.1820 0.6812 0.2648  5 Pt 2.51-2.63
Ge 0.4164 0.9173 0.7352  5 Pt 2.51-2.63
Ge 0.6812 0.4164 0.4992  5 Pt 2.51-2.63
Ge 0.9173 0.1820 0.5008  5 Pt 2.51-2.63
Pt 0.1258 0.9736 0.5015  5 Ge 2.51-2.63
Pt 0.4722 0.6244 0.4985  5 Ge 2.51-2.63
Pt 0.6244 0.1258 0.1522  5 Ge 2.51-2.63
Pt 0.9736 0.4722 0.8478  5 Ge 2.51-2.63

Summary:
symmetry: I4


Material: ScGePt
Method: DFT, PBE
State: relaxed

Lattice parameters (Å, degrees): 6.6550 4.2575 7.5022 90.00 90.00 90.00
With the nearest neighbours (Å) after each atom.
Sites, in units of the cell vectors:
Sc 0.0011 0.2500 0.2040  6 Pt 2.91-3.16, 6 Ge 2.93-3.20
Sc 0.4989 0.7500 0.7040  6 Pt 2.91-3.16, 6 Ge 2.93-3.20
Sc 0.5011 0.2500 0.2960  6 Pt 2.91-3.16, 6 Ge 2.93-3.20
Sc 0.9989 0.7500 0.7960  6 Pt 2.91-3.16, 6 Ge 2.93-3.20
Ge 0.1974 0.2500 0.5929  4 Pt 2.50-2.68
Ge 0.3026 0.7500 0.0929  4 Pt 2.50-2.68
Ge 0.6974 0.2500 0.9071  4 Pt 2.50-2.68
Ge 0.8026 0.7500 0.4071  4 Pt 2.50-2.68
Pt 0.2052 0.7500 0.4173  4 Ge 2.50-2.68
Pt 0.2948 0.2500 0.9173  4 Ge 2.50-2.68
Pt 0.7052 0.7500 0.0827  4 Ge 2.50-2.68
Pt 0.7948 0.2500 0.5827  4 Ge 2.50-2.68

Summary:
symmetry: Pnma


Material: Sm2Ge5Pt3
Method: DFT, PBE
State: relaxed

Lattice parameters (Å, degrees): 8.4665 8.4665 8.4665 105.31 90.84 136.16
With the nearest neighbours (Å) after each atom.
Sites, in units of the cell vectors:
Sm 0.1308 0.2295 0.3603  10 Ge 3.04-3.40, 3 Pt 3.19-3.39
Sm 0.3692 0.7295 0.0987  10 Ge 3.04-3.40, 3 Pt 3.19-3.39
Sm 0.6308 0.2705 0.9013  10 Ge 3.04-3.40, 3 Pt 3.19-3.39
Sm 0.8692 0.7705 0.6397  10 Ge 3.04-3.40, 3 Pt 3.19-3.39
Ge 0.0221 0.7500 0.2721  3 Pt 2.51-2.71, 2 Ge 2.68
Ge 0.1049 0.6549 0.7598  3 Pt 2.44-2.57, 2 Ge 2.68
Ge 0.2500 0.2500 0.0000  4 Pt 2.55
Ge 0.3951 0.1549 0.5500  3 Pt 2.44-2.57, 2 Ge 2.68
Ge 0.4779 0.7500 0.7279  3 Pt 2.51-2.71, 2 Ge 2.68
Ge 0.5221 0.2500 0.2721  3 Pt 2.51-2.71, 2 Ge 2.68
Ge 0.6049 0.8451 0.4500  3 Pt 2.44-2.57, 2 Ge 2.68
Ge 0.7500 0.7500 0.0000  4 Pt 2.55
Ge 0.8951 0.3451 0.2402  3 Pt 2.44-2.57, 2 Ge 2.68
Ge 0.9779 0.2500 0.7279  3 Pt 2.51-2.71, 2 Ge 2.68
Pt 0.1387 0.8888 0.0275  5 Ge 2.44-2.55
Pt 0.2500 0.7500 0.5000  6 Ge 2.57-2.71
Pt 0.3613 0.3888 0.7501  5 Ge 2.44-2.55
Pt 0.6387 0.6112 0.2499  5 Ge 2.44-2.55
Pt 0.7500 0.2500 0.5000  6 Ge 2.57-2.71
Pt 0.8613 0.1112 0.9725  5 Ge 2.44-2.55

Summary:
symmetry: Ibam
total magnetic moment: 0.000 μB/f.u.


Material: SmGePt
Method: DFT, PBE
State: relaxed

Lattice parameters (Å, degrees): 7.2048 4.4392 7.7008 90.00 90.00 90.00
With the nearest neighbours (Å) after each atom.
Sites, in units of the cell vectors:
Sm 0.0034 0.2500 0.2065  6 Ge 3.07-3.24, 6 Pt 3.07-3.27
Sm 0.4966 0.7500 0.7065  6 Ge 3.07-3.24, 6 Pt 3.07-3.27
Sm 0.5034 0.2500 0.2935  6 Ge 3.07-3.24, 6 Pt 3.07-3.27
Sm 0.9966 0.7500 0.7935  6 Ge 3.07-3.24, 6 Pt 3.07-3.27
Ge 0.1935 0.2500 0.5882  4 Pt 2.59-2.86
Ge 0.3065 0.7500 0.0882  4 Pt 2.59-2.86
Ge 0.6935 0.2500 0.9118  4 Pt 2.59-2.86
Ge 0.8065 0.7500 0.4118  4 Pt 2.59-2.86
Pt 0.2041 0.7500 0.4162  4 Ge 2.59-2.86
Pt 0.2959 0.2500 0.9162  4 Ge 2.59-2.86
Pt 0.7041 0.7500 0.0838  4 Ge 2.59-2.86
Pt 0.7959 0.2500 0.5838  4 Ge 2.59-2.86

Summary:
symmetry: Pnma


Material: SmGePt
Method: DFT, PBE
State: relaxed

Lattice parameters (Å, degrees): 5.7239 5.7239 7.2049 128.26 128.26 45.28
With the nearest neighbours (Å) after each atom.
Sites, in units of the cell vectors:
Sm 0.0477 0.0477 0.3109  6 Pt 3.04-3.32, 6 Ge 3.10-3.35
Sm 0.9523 0.9523 0.6891  6 Pt 3.04-3.32, 6 Ge 3.10-3.35
Ge 0.3383 0.3383 0.9041  3 Pt 2.54-2.83, 1 Ge 2.69
Ge 0.6617 0.6617 0.0959  3 Pt 2.54-2.83, 1 Ge 2.69
Pt 0.3204 0.3204 0.2794  3 Ge 2.54-2.83
Pt 0.6796 0.6796 0.7206  3 Ge 2.54-2.83

Summary:
symmetry: C2/m
total magnetic moment: 0.000 μB/f.u.


Material: SmGe12Pt4
Method: DFT, PBE
State: relaxed

Lattice parameters (Å, degrees): 7.5587 7.5587 7.5587 109.47 109.47 109.47
With the nearest neighbours (Å) after each atom.
Sites, in units of the cell vectors:
Sm 0.0000 0.0000 0.0000  12 Ge 3.35
Ge 0.1513 0.3533 0.5046  2 Pt 2.51, 2 Ge 2.56-2.64
Ge 0.1513 0.6467 0.7979  2 Pt 2.51, 2 Ge 2.56-2.64
Ge 0.2021 0.8487 0.3533  2 Pt 2.51, 2 Ge 2.56-2.64
Ge 0.3533 0.2021 0.8487  2 Pt 2.51, 2 Ge 2.56-2.64
Ge 0.3533 0.5046 0.1513  2 Pt 2.51, 2 Ge 2.56-2.64
Ge 0.4954 0.8487 0.6467  2 Pt 2.51, 2 Ge 2.56-2.64
Ge 0.5046 0.1513 0.3533  2 Pt 2.51, 2 Ge 2.56-2.64
Ge 0.6467 0.4954 0.8487  2 Pt 2.51, 2 Ge 2.56-2.64
Ge 0.6467 0.7979 0.1513  2 Pt 2.51, 2 Ge 2.56-2.64
Ge 0.7979 0.1513 0.6467  2 Pt 2.51, 2 Ge 2.56-2.64
Ge 0.8487 0.3533 0.2021  2 Pt 2.51, 2 Ge 2.56-2.64
Ge 0.8487 0.6467 0.4954  2 Pt 2.51, 2 Ge 2.56-2.64
Pt 0.0000 0.0000 0.5000  6 Ge 2.51
Pt 0.0000 0.5000 0.0000  6 Ge 2.51
Pt 0.5000 0.0000 0.0000  6 Ge 2.51
Pt 0.5000 0.5000 0.5000  6 Ge 2.51

Summary:
symmetry: Im-3
total magnetic moment: 0.003 μB/f.u.


Material: SmGePt
Method: DFT, PBE
State: relaxed

Lattice parameters (Å, degrees): 4.4563 14.4440 7.6614 90.00 90.00 90.00
With the nearest neighbours (Å) after each atom.
Sites, in units of the cell vectors:
Sm 0.2500 0.0021 0.2092  6 Pt 2.99-3.21, 6 Ge 3.09-3.27
Sm 0.2500 0.2500 0.2951  6 Ge 3.06-3.12, 6 Pt 3.26-3.27
Sm 0.2500 0.4979 0.2092  6 Pt 2.99-3.21, 6 Ge 3.09-3.27
Sm 0.2500 0.7500 0.2922  6 Pt 3.12-3.17, 6 Ge 3.23
Sm 0.7500 0.2500 0.7078  6 Pt 3.12-3.17, 6 Ge 3.23
Sm 0.7500 0.5021 0.7908  6 Pt 2.99-3.21, 6 Ge 3.09-3.27
Sm 0.7500 0.7500 0.7049  6 Ge 3.06-3.12, 6 Pt 3.26-3.27
Sm 0.7500 0.9979 0.7908  6 Pt 2.99-3.21, 6 Ge 3.09-3.27
Ge 0.2500 0.1009 0.5894  4 Pt 2.59-2.88
Ge 0.2500 0.3991 0.5894  4 Pt 2.59-2.88
Ge 0.2500 0.6547 0.9112  3 Pt 2.58-2.64, 1 Ge 2.75
Ge 0.2500 0.8453 0.9112  3 Pt 2.58-2.64, 1 Ge 2.75
Ge 0.7500 0.1547 0.0888  3 Pt 2.58-2.64, 1 Ge 2.75
Ge 0.7500 0.3453 0.0888  3 Pt 2.58-2.64, 1 Ge 2.75
Ge 0.7500 0.6009 0.4106  4 Pt 2.59-2.88
Ge 0.7500 0.8991 0.4106  4 Pt 2.59-2.88
Pt 0.2500 0.1414 0.9205  3 Ge 2.58-2.60
Pt 0.2500 0.3586 0.9205  3 Ge 2.58-2.60
Pt 0.2500 0.5982 0.5828  4 Ge 2.59-2.88
Pt 0.2500 0.9018 0.5828  4 Ge 2.59-2.88
Pt 0.7500 0.0982 0.4172  4 Ge 2.59-2.88
Pt 0.7500 0.4018 0.4172  4 Ge 2.59-2.88
Pt 0.7500 0.6414 0.0795  3 Ge 2.58-2.60
Pt 0.7500 0.8586 0.0795  3 Ge 2.58-2.60

Summary:
symmetry: Pmmn


Material: Sm3Ge6Pt4
Method: DFT, PBE
State: relaxed

Lattice parameters (Å, degrees): 26.4011 4.4144 8.8693 90.00 90.00 90.00
With the nearest neighbours (Å) after each atom.
Sites, in units of the cell vectors:
Sm 0.0923 0.2500 0.1135  9 Ge 3.24-3.45, 7 Pt 3.33-3.61
Sm 0.0928 0.2500 0.6353  9 Ge 3.28-3.46, 6 Pt 3.30-3.37
Sm 0.2199 0.2500 0.8743  8 Ge 3.08-3.13, 6 Pt 3.23-3.30
Sm 0.2801 0.7500 0.3743  8 Ge 3.08-3.13, 6 Pt 3.23-3.30
Sm 0.4072 0.7500 0.1353  9 Ge 3.28-3.46, 6 Pt 3.30-3.37
Sm 0.4077 0.7500 0.6135  9 Ge 3.24-3.45, 7 Pt 3.33-3.61
Sm 0.5923 0.2500 0.3865  9 Ge 3.24-3.45, 7 Pt 3.33-3.61
Sm 0.5928 0.2500 0.8647  9 Ge 3.28-3.46, 6 Pt 3.30-3.37
Sm 0.7199 0.2500 0.6257  8 Ge 3.08-3.13, 6 Pt 3.23-3.30
Sm 0.7801 0.7500 0.1257  8 Ge 3.08-3.13, 6 Pt 3.23-3.30
Sm 0.9072 0.7500 0.3647  9 Ge 3.28-3.46, 6 Pt 3.30-3.37
Sm 0.9077 0.7500 0.8865  9 Ge 3.24-3.45, 7 Pt 3.33-3.61
Ge 0.0014 0.2500 0.3781  4 Pt 2.52-2.55
Ge 0.0026 0.7500 0.1273  4 Pt 2.53-2.55
Ge 0.1385 0.7500 0.8741  3 Pt 2.48-2.56
Ge 0.1421 0.7500 0.3736  3 Pt 2.44-2.53
Ge 0.2154 0.2500 0.2269  3 Pt 2.50-2.71, 1 Ge 2.62
Ge 0.2157 0.2500 0.5222  3 Pt 2.50-2.70, 1 Ge 2.62
Ge 0.2843 0.7500 0.0222  3 Pt 2.50-2.70, 1 Ge 2.62
Ge 0.2846 0.7500 0.7269  3 Pt 2.50-2.71, 1 Ge 2.62
Ge 0.3579 0.2500 0.8736  3 Pt 2.44-2.53
Ge 0.3615 0.2500 0.3741  3 Pt 2.48-2.56
Ge 0.4974 0.2500 0.6273  4 Pt 2.53-2.55
Ge 0.4986 0.7500 0.8781  4 Pt 2.52-2.55
Ge 0.5014 0.2500 0.1219  4 Pt 2.52-2.55
Ge 0.5026 0.7500 0.3727  4 Pt 2.53-2.55
Ge 0.6385 0.7500 0.6259  3 Pt 2.48-2.56
Ge 0.6421 0.7500 0.1264  3 Pt 2.44-2.53
Ge 0.7154 0.2500 0.2731  3 Pt 2.50-2.71, 1 Ge 2.62
Ge 0.7157 0.2500 0.9778  3 Pt 2.50-2.70, 1 Ge 2.62
Ge 0.7843 0.7500 0.4778  3 Pt 2.50-2.70, 1 Ge 2.62
Ge 0.7846 0.7500 0.7731  3 Pt 2.50-2.71, 1 Ge 2.62
Ge 0.8579 0.2500 0.6264  3 Pt 2.44-2.53
Ge 0.8615 0.2500 0.1259  3 Pt 2.48-2.56
Ge 0.9974 0.2500 0.8727  4 Pt 2.53-2.55
Ge 0.9986 0.7500 0.6219  4 Pt 2.52-2.55
Pt 0.0445 0.7500 0.8708  5 Ge 2.48-2.53
Pt 0.0497 0.7500 0.3784  5 Ge 2.44-2.55
Pt 0.1877 0.7500 0.1230  5 Ge 2.50-2.70
Pt 0.1877 0.7500 0.6249  5 Ge 2.50-2.71
Pt 0.3123 0.2500 0.1249  5 Ge 2.50-2.71
Pt 0.3123 0.2500 0.6230  5 Ge 2.50-2.70
Pt 0.4503 0.2500 0.8784  5 Ge 2.44-2.55
Pt 0.4555 0.2500 0.3708  5 Ge 2.48-2.53
Pt 0.5445 0.7500 0.6292  5 Ge 2.48-2.53
Pt 0.5497 0.7500 0.1216  5 Ge 2.44-2.55
Pt 0.6877 0.7500 0.3770  5 Ge 2.50-2.70
Pt 0.6877 0.7500 0.8751  5 Ge 2.50-2.71
Pt 0.8123 0.2500 0.3751  5 Ge 2.50-2.71
Pt 0.8123 0.2500 0.8770  5 Ge 2.50-2.70
Pt 0.9503 0.2500 0.6216  5 Ge 2.44-2.55
Pt 0.9555 0.2500 0.1292  5 Ge 2.48-2.53

Summary:
symmetry: Pnma
total magnetic moment: 0.000 μB/f.u.


Computed uncorrected energy (Ry per atom) in order:
-0.43601 -0.41267 -0.40026 -0.42744 -0.39151 -0.49549 -0.43241 -0.45789 -0.45394 -0.39251 -0.45886 -0.44080